# 1
The following is a PBE calculation of a relaxed structure of ScBr3, from the Materials Project.

For the formation energy, the calculation gives -2.069 eV per atom. The total DFT energy (no corrections) comes out at -0.1646 Ha/atom.

Lattice parameters (Å, degrees): 10.3227 10.3227 3.5205 90.00 90.00 120.00
Space group P6_3/mmc (No. 194)
One atom of each set of equivalent atoms:
Sc: 0.3333 0.6667 0.2500 [2 per cell]
Br: 0.2202 0.4404 0.7500 [6 per cell]

# 2
The following is a PBE calculation of a relaxed structure of Se3Br, from the Materials Project.

The magnetization is 0.0004 μB per atom. For the formation energy, the calculation gives 0.147 eV per atom. The total DFT energy (no corrections) comes out at -0.1011 Ha/atom.

Lattice parameters (Å, degrees): 3.802 3.802 16.964 90.00 90.00 90.00
Space group I4/mmm (No. 139)
One atom of each set of equivalent atoms:
Se: 0.000 0.000 0.000 [2 per cell]
Se: 0.000 0.500 0.250 [4 per cell]
Br: 0.000 0.000 0.500 [2 per cell]

# 3
The following is a PBE calculation of a relaxed structure of Ta2Se17Br12, from the Materials Project.

The magnetization is 0.0000 μB per atom. For the formation energy, the calculation gives -0.585 eV per atom. The total DFT energy (no corrections) comes out at -0.1358 Ha/atom.

Lattice parameters (Å, degrees): 12.318 14.158 14.173 111.71 97.60 99.80
Space group P-1 (No. 2)
One atom of each set of equivalent atoms:
Ta: 0.157 0.279 0.009 [2 per cell]
Ta: 0.311 0.724 0.521 [2 per cell]
Se: 0.055 0.032 0.408 [2 per cell]
Se: 0.087 0.109 0.291 [2 per cell]
Se: 0.122 0.400 0.671 [2 per cell]
Se: 0.125 0.292 0.389 [2 per cell]
Se: 0.162 0.584 0.742 [2 per cell]
Se: 0.195 0.630 0.923 [2 per cell]
Se: 0.244 0.070 0.504 [2 per cell]
Se: 0.248 0.191 0.666 [2 per cell]
Se: 0.280 0.900 0.228 [2 per cell]
Se: 0.305 0.368 0.654 [2 per cell]
Se: 0.313 0.331 0.473 [2 per cell]
Se: 0.329 0.905 0.975 [2 per cell]
Se: 0.340 0.015 0.152 [2 per cell]
Se: 0.388 0.663 0.148 [2 per cell]
Se: 0.394 0.649 0.963 [2 per cell]
Se: 0.449 0.838 0.245 [2 per cell]
Se: 0.479 0.827 0.980 [2 per cell]
Br: 0.011 0.173 0.060 [2 per cell]
Br: 0.020 0.271 0.858 [2 per cell]
Br: 0.115 0.448 0.121 [2 per cell]
Br: 0.151 0.566 0.488 [2 per cell]
Br: 0.187 0.758 0.385 [2 per cell]
Br: 0.204 0.113 0.891 [2 per cell]
Br: 0.229 0.834 0.665 [2 per cell]
Br: 0.306 0.294 0.158 [2 per cell]
Br: 0.318 0.385 0.957 [2 per cell]
Br: 0.396 0.608 0.377 [2 per cell]
Br: 0.432 0.678 0.647 [2 per cell]
Br: 0.461 0.882 0.549 [2 per cell]

# 4
The following is a PBE calculation of a relaxed structure of Tl5Se2Br, from the Materials Project.

For the formation energy, the calculation gives -0.564 eV per atom. The total DFT energy (no corrections) comes out at -0.1122 Ha/atom.

Lattice parameters (Å, degrees): 8.799 8.799 13.474 90.00 90.00 90.00
Space group I4/mcm (No. 140)
One atom of each set of equivalent atoms:
Tl: 0.000 0.000 0.000 [4 per cell]
Tl: 0.147 0.353 0.142 [16 per cell]
Se: 0.158 0.342 0.500 [8 per cell]
Br: 0.000 0.000 0.250 [4 per cell]

Number 1: E (MP2020) -4.880 eV per atom. Number 2: E (MP2020) -2.885 eV per atom. Number 3: E (MP2020) -3.901 eV per atom. Number 4: E (MP2020) -3.119 eV per atom.